1.
SrCo2Ge2 | r2SCAN | relaxed

Properties
- Formation energy from the elements: -0.3612 eV per atom
- Space-group type: I4/mmm (139)

Cell lengths 3.9895, 3.9895, 6.1663 Å; angles 108.87, 108.87, 90.00 degrees
Last column: nearest neighbours and their distance in Å.
Fractional coordinates of all 5 atoms:
Ge: 0.3568 0.3568 0.7137  4 Co 2.31
Ge: 0.6432 0.6432 0.2863  4 Co 2.31
Co: 0.7500 0.2500 0.5000  4 Ge 2.31
Co: 0.2500 0.7500 0.5000  4 Ge 2.31
Sr: 0.0000 0.0000 0.0000  8 Ge 3.23, 8 Co 3.39


2.
TbCo2Ge2 | r2SCAN | relaxed

Properties
- Formation energy from the elements: -0.5732 eV per atom
- Space-group type: I4/mmm (139)

Cell lengths 3.9287, 3.9287, 5.7528 Å; angles 109.97, 109.97, 90.00 degrees
Last column: nearest neighbours and their distance in Å.
Fractional coordinates of all 5 atoms:
Ge: 0.6287 0.6287 0.2574  4 Co 2.31
Ge: 0.3713 0.3713 0.7426  4 Co 2.31
Co: 0.2500 0.7500 0.5000  4 Ge 2.31
Co: 0.7500 0.2500 0.5000  4 Ge 2.31
Tb: 0.0000 0.0000 0.0000  8 Ge 3.07, 8 Co 3.19


3.
TbCoGe2 | r2SCAN | relaxed

Properties
- Formation energy from the elements: -0.6451 eV per atom
- Space-group type: Cmcm (63)

Cell lengths 8.4790, 8.4790, 4.1194 Å; angles 90.00, 90.00, 151.76 degrees
Last column: nearest neighbours and their distance in Å.
Fractional coordinates of all 8 atoms:
Ge: 0.4550 0.5450 0.7500  1 Co 2.24
Ge: 0.5450 0.4550 0.2500  1 Co 2.24
Ge: 0.7495 0.2505 0.7500  4 Co 2.35-2.36
Ge: 0.2505 0.7495 0.2500  4 Co 2.35-2.36
Co: 0.6813 0.3187 0.2500  5 Ge 2.24-2.36
Co: 0.3187 0.6813 0.7500  5 Ge 2.24-2.36
Tb: 0.8902 0.1098 0.2500  10 Ge 3.09-3.28, 5 Co 3.15-3.44
Tb: 0.1098 0.8902 0.7500  10 Ge 3.09-3.28, 5 Co 3.15-3.44